Entry 1:
A plane-wave DFT calculation with GGA-PBE was carried out for an optimized crystal structure of Sr2RuO4.

Values from the calculation:
The final energy comes out at -47.014 eV per cell. As for the space group: No. 139.

```
Sr2RuO4
1.0
-1.952 1.952 6.451
1.952 -1.952 6.451
1.952 1.952 -6.451
Sr Ru O
2 1 4
Cartesian
0.000 0.000 1.902
0.000 0.000 11.000
0.000 0.000 6.451
1.952 0.000 0.000
0.000 0.000 4.349
0.000 1.952 0.000
0.000 0.000 8.553
```

---

Entry 2:
A plane-wave DFT calculation with GGA-PBE was carried out for an optimized crystal structure of Sr4Ru3O10.

Values from the calculation:
The final energy comes out at -232.874 eV per cell. As for the space group: No. 64.

```
Sr4Ru3O10
1.0
14.465 -2.792 0.000
14.465 2.792 0.000
0.000 0.000 5.584
Sr Ru O
8 6 20
Cartesian
2.028 0.000 0.000
5.893 0.000 0.000
8.572 0.000 2.792
12.437 0.000 2.792
16.493 0.000 2.792
20.358 0.000 2.792
23.037 0.000 0.000
26.902 0.000 0.000
0.000 0.000 2.792
4.062 0.000 2.792
10.403 0.000 0.000
14.465 0.000 0.000
18.527 0.000 0.000
24.868 0.000 2.792
1.997 0.000 2.792
10.431 1.582 1.210
10.431 1.210 4.002
14.465 1.686 4.478
6.100 0.000 2.792
8.365 0.000 0.000
14.465 1.106 1.686
18.499 1.582 1.210
18.499 1.210 4.002
12.469 0.000 0.000
16.462 0.000 0.000
10.431 -1.210 1.581
10.431 -1.582 4.373
14.465 -1.106 3.898
20.565 0.000 0.000
22.830 0.000 2.792
14.465 -1.686 1.106
18.499 -1.210 1.581
18.499 -1.582 4.373
26.934 0.000 2.792
```

---

Entry 3:
A plane-wave DFT calculation with GGA-PBE was carried out for an optimized crystal structure of Sr12Ru11O36.

Values from the calculation:
The final energy comes out at -795.676 eV per cell. As for the space group: No. 14.

```
Sr12Ru11O36
1.0
8.054 0.000 0.000
0.000 23.482 0.000
-7.896 0.000 8.066
Sr Ru O
24 22 72
Cartesian
-1.966 5.875 2.029
-5.914 5.866 6.062
-1.917 13.643 2.050
-5.865 21.580 6.083
-5.842 13.632 6.081
-1.893 21.592 2.048
1.985 5.783 1.953
-1.963 5.958 5.986
1.988 1.889 1.974
-1.960 9.852 6.007
-1.920 13.644 6.013
2.028 21.579 1.980
-1.870 1.903 6.086
2.078 9.838 2.053
2.118 13.630 2.059
-1.830 21.594 6.092
2.121 17.524 2.080
-1.827 17.700 6.113
2.051 1.890 6.018
6.000 9.851 1.985
6.023 1.902 1.983
2.075 9.839 6.016
6.072 17.617 2.004
2.124 17.607 6.036
-3.948 0.000 4.033
0.000 11.741 0.000
-3.946 3.876 4.045
0.003 7.865 0.012
-3.883 15.781 4.077
0.065 19.442 0.044
0.060 3.900 4.037
-3.880 3.894 8.058
4.008 7.841 0.004
0.068 7.847 4.025
4.027 0.000 0.000
0.079 0.000 4.033
4.027 11.741 0.000
0.079 11.741 4.033
0.090 15.635 4.041
-3.850 15.641 8.062
4.038 19.588 0.008
0.098 19.582 4.029
0.093 4.040 8.021
4.041 7.701 3.989
0.155 15.617 8.054
4.104 19.606 4.021
0.145 0.618 0.102
-3.803 11.123 4.135
-3.629 1.939 4.340
0.319 9.802 0.307
0.387 17.532 0.358
-3.561 17.691 4.391
-5.932 4.087 8.043
-1.983 7.654 4.010
0.026 4.047 1.981
-3.922 7.694 6.014
-5.892 12.113 8.050
-1.944 23.110 4.017
-1.948 4.298 4.032
-5.896 7.443 8.065
-1.929 15.294 4.022
-5.877 19.930 8.055
-3.900 4.285 6.048
0.048 7.457 2.015
-3.892 15.309 6.037
0.057 19.915 2.004
-5.856 15.296 8.062
-1.908 19.927 4.029
0.082 12.101 2.006
-3.866 23.122 6.039
0.070 15.310 2.033
-3.878 19.913 6.066
-1.730 12.098 4.051
2.218 23.126 0.018
-3.827 12.015 6.247
0.122 23.208 2.214
-4.261 1.967 7.729
-0.313 9.774 3.696
-0.311 1.973 3.729
-4.259 9.769 7.762
-0.214 17.611 3.753
-4.162 17.612 7.786
4.320 5.870 0.280
0.372 5.871 4.313
4.417 13.714 0.304
0.469 21.510 4.337
0.471 13.709 4.370
4.419 21.515 0.337
0.036 0.274 5.852
3.985 11.467 1.819
-2.060 0.357 8.048
1.888 11.385 4.015
4.036 3.569 2.000
0.088 8.172 6.033
4.024 0.360 2.027
0.076 11.381 6.060
2.066 3.555 4.037
6.014 8.186 0.004
0.101 3.567 6.062
4.050 8.174 2.029
0.110 16.026 6.050
4.058 19.198 2.018
6.035 3.553 0.011
2.087 8.189 4.044
6.054 16.040 0.001
2.106 19.184 4.034
2.102 0.372 4.049
6.050 11.369 0.016
4.080 15.788 2.052
0.132 19.435 6.085
2.142 15.828 4.056
6.090 19.396 0.023
3.719 5.791 3.675
-0.229 5.950 7.708
-0.161 13.680 7.759
3.787 21.543 3.726
3.961 12.359 3.931
0.013 22.865 7.964
```

---

Entry 4:
A plane-wave DFT calculation with GGA-PBE was carried out for an optimized crystal structure of Sr8Ru7O24.

Values from the calculation:
The final energy comes out at -796.898 eV per cell. As for the space group: No. 83.

```
Sr8Ru7O24
1.0
5.591 0.000 0.000
0.000 5.591 0.000
0.000 0.000 48.372
Sr Ru O
24 21 72
Cartesian
0.000 2.795 1.834
0.000 2.795 6.201
0.000 2.795 9.850
0.000 2.795 14.085
0.000 2.795 18.139
0.000 2.795 22.170
0.000 2.795 26.202
0.000 2.795 30.233
0.000 2.795 34.287
0.000 2.795 38.523
0.000 2.795 42.171
0.000 2.795 46.538
2.795 0.000 1.834
2.795 0.000 6.201
2.795 0.000 9.850
2.795 0.000 14.085
2.795 0.000 18.139
2.795 0.000 22.170
2.795 0.000 26.202
2.795 0.000 30.233
2.795 0.000 34.287
2.795 0.000 38.523
2.795 0.000 42.171
2.795 0.000 46.538
0.000 0.000 0.000
0.000 0.000 4.048
0.000 0.000 12.046
0.000 0.000 16.116
0.000 0.000 20.162
0.000 0.000 24.186
0.000 0.000 28.210
0.000 0.000 32.256
0.000 0.000 36.326
0.000 0.000 44.324
2.795 2.795 3.992
2.795 2.795 8.021
2.795 2.795 12.071
2.795 2.795 16.112
2.795 2.795 20.159
2.795 2.795 24.186
2.795 2.795 28.213
2.795 2.795 32.261
2.795 2.795 36.301
2.795 2.795 40.351
2.795 2.795 44.380
0.000 0.000 2.009
0.000 0.000 5.891
0.000 0.000 10.206
0.000 0.000 14.159
0.000 0.000 18.163
0.000 0.000 22.181
0.000 0.000 26.191
0.000 0.000 30.209
0.000 0.000 34.213
0.000 0.000 38.166
0.000 0.000 42.481
0.000 0.000 46.363
1.118 1.683 4.039
1.118 1.683 44.333
1.143 1.655 20.165
1.143 1.655 28.207
1.143 3.938 24.186
1.148 1.649 12.141
1.148 1.649 36.231
1.148 3.945 16.141
1.148 3.945 32.231
1.197 4.116 0.000
1.330 4.003 8.073
1.330 4.003 40.299
1.474 1.197 0.000
1.588 1.330 8.073
1.588 1.330 40.299
1.646 1.148 16.141
1.646 1.148 32.231
1.649 4.443 12.141
1.649 4.443 36.231
1.652 1.143 24.186
1.655 4.448 20.165
1.655 4.448 28.207
1.683 4.473 4.039
1.683 4.473 44.333
2.795 2.795 2.169
2.795 2.795 6.063
2.795 2.795 10.125
2.795 2.795 14.110
2.795 2.795 18.147
2.795 2.795 22.175
2.795 2.795 26.197
2.795 2.795 30.225
2.795 2.795 34.262
2.795 2.795 38.247
2.795 2.795 42.309
2.795 2.795 46.203
3.907 1.118 4.039
3.907 1.118 44.333
3.936 1.143 20.165
3.936 1.143 28.207
3.938 4.448 24.186
3.942 1.148 12.141
3.942 1.148 36.231
3.945 4.443 16.141
3.945 4.443 32.231
4.003 4.260 8.073
4.003 4.260 40.299
4.116 4.394 0.000
4.260 1.588 8.073
4.260 1.588 40.299
4.394 1.474 0.000
4.443 1.646 16.141
4.443 1.646 32.231
4.443 3.942 12.141
4.443 3.942 36.231
4.448 1.652 24.186
4.448 3.936 20.165
4.448 3.936 28.207
4.473 3.907 4.039
4.473 3.907 44.333
```

---

> Which formula does entry 4 have?

Sr8Ru7O24

---

> What is the final energy in the first record?

-47.014 eV per cell

---

> Among the records above, which one has the lowest final energy?

Sr8Ru7O24